1.
Density functional theory data (PBE) for Al8P8H34N7O36F5 after structural relaxation.

**ΔE_f**: -2.02 eV/atom
**Symmetry**: P1, No. 1

The structure in POSCAR format:
```
Al8P8H34N7O36F5
1.0
-7.9754 2.8907 -4.3749
-1.2099 -8.8468 -3.7067
-5.3614 -2.6506 8.0429
H O Al P N F
34 36 8 8 7 5
direct
0.2386 0.1689 0.7497
0.2898 0.5641 0.0098
0.3269 0.0192 0.7231
0.2591 0.1098 0.5911
0.2430 0.8958 0.0959
0.7408 0.6057 0.9000
0.0017 0.1016 0.0369
0.6509 0.4820 0.3004
0.7637 0.6695 0.7431
0.4946 0.8853 0.5427
0.1179 0.6914 0.4702
0.5116 0.3887 0.9525
0.5081 0.2224 0.0052
0.3484 0.9761 0.2080
0.2546 0.8344 0.2547
0.7080 0.0625 0.4880
0.8261 0.4913 0.2766
0.0998 0.5382 0.5137
0.4444 0.3484 0.1058
0.3605 0.3072 0.9586
0.1718 0.9862 0.2262
0.0638 0.6534 0.6332
0.4966 0.7189 0.4926
0.8583 0.1959 0.0377
0.8475 0.5221 0.7906
0.6454 0.8028 0.5380
0.7601 0.4026 0.4102
0.7403 0.3394 0.2526
0.7908 0.9407 0.9891
0.6722 0.5204 0.7658
0.9405 0.1596 0.8871
0.0121 0.2714 0.9970
0.1513 0.0261 0.6992
0.5608 0.8433 0.3899
0.9922 0.4027 0.7324
0.7244 0.6705 0.1203
0.7661 0.0280 0.3329
0.4463 0.6556 0.7095
0.4738 0.9069 0.8011
0.9294 0.1514 0.7149
0.9479 0.9691 0.5087
0.0733 0.6533 0.7739
0.5258 0.4087 0.6934
0.4228 0.3598 0.2792
0.4995 0.6114 0.2356
0.7340 0.9742 0.8317
0.5548 0.0411 0.0058
0.4913 0.1085 0.2629
0.0539 0.4651 0.9896
0.0016 0.2845 0.5062
0.3026 0.5677 0.9117
0.2267 0.8349 0.8862
0.5673 0.8597 0.2165
0.2640 0.4673 0.6697
0.8041 0.9358 0.0874
0.2709 0.1744 0.3841
0.4367 0.5390 0.4897
0.9535 0.8450 0.2879
0.5457 0.1559 0.7838
0.6951 0.0684 0.5862
0.7717 0.3360 0.6125
0.0492 0.3477 0.2108
0.5015 0.2311 0.4865
0.2304 0.5357 0.1660
0.4990 0.7277 0.0077
0.9693 0.5943 0.1943
0.9964 0.7712 0.9874
0.0567 0.6316 0.5276
0.0250 0.0935 0.2999
0.0065 0.9053 0.7684
0.3434 0.5351 0.3236
0.1554 0.4709 0.8256
0.6079 0.2380 0.6330
0.1028 0.2590 0.3599
0.8466 0.9745 0.6708
0.3906 0.7367 0.8624
0.8903 0.7656 0.1365
0.6546 0.0315 0.1734
0.5787 0.0160 0.8551
0.4149 0.5137 0.6409
0.4250 0.2191 0.3529
0.9212 0.9843 0.3589
0.0769 0.4891 0.1402
0.0728 0.7920 0.8547
0.5706 0.7184 0.1444
0.9262 0.2920 0.6418
0.4570 0.3176 0.0068
0.5488 0.8130 0.4893
0.9538 0.1818 0.9885
0.2444 0.0806 0.6891
0.7555 0.5792 0.8016
0.2545 0.9234 0.1947
0.7447 0.4289 0.3113
0.2157 0.2941 0.8657
0.1941 0.4351 0.4051
0.7832 0.7989 0.6377
0.2618 0.7027 0.3687
0.7190 0.2073 0.1384
```

=====

2.
Density functional theory data (PBE) for Al8P8H34N7O36F5 after structural relaxation.

**ΔE_f**: -2.02 eV/atom
**Symmetry**: P1, No. 1

The structure in POSCAR format:
```
Al8P8H34N7O36F5
1.0
9.5635 0.0016 0.0064
0.0014 9.6817 0.0062
0.0068 0.0065 9.9695
F O P H N Al
5 36 8 34 7 8
direct
0.2643 0.6973 0.3705
0.1954 0.4306 0.4023
0.7209 0.2031 0.1356
0.7786 0.8004 0.6375
0.2176 0.2951 0.8683
0.0488 0.3446 0.2090
0.4974 0.2297 0.4910
0.0544 0.6638 0.5208
0.4948 0.1037 0.2679
0.4450 0.6564 0.7082
0.5286 0.4107 0.6954
0.4391 0.5363 0.4888
0.9698 0.5910 0.1962
0.0271 0.0908 0.2987
0.7675 0.0271 0.3318
0.5011 0.7276 0.0058
0.4980 0.6066 0.2319
0.9299 0.1502 0.7149
0.3019 0.5692 0.9111
0.0037 0.9045 0.7699
0.9530 0.8437 0.2866
0.2256 0.8349 0.8858
0.9943 0.4020 0.7306
0.7721 0.3354 0.6145
0.5690 0.8554 0.2181
0.5466 0.1570 0.7864
0.0535 0.4656 0.9877
0.4253 0.3550 0.2788
0.2669 0.4647 0.6701
0.2709 0.1708 0.3829
0.0762 0.6538 0.7690
0.2305 0.5322 0.1655
0.8041 0.9314 0.0863
0.6948 0.0697 0.5864
0.5538 0.0388 0.0081
0.9468 0.9692 0.5088
0.9962 0.7653 0.9863
0.4718 0.9088 0.8008
0.9984 0.2839 0.5035
0.7324 0.9743 0.8318
0.7245 0.6668 0.1195
0.0723 0.7905 0.8536
0.9266 0.2908 0.6417
0.0768 0.4865 0.1393
0.5709 0.7154 0.1439
0.5777 0.0163 0.8567
0.4255 0.2153 0.3544
0.4163 0.5131 0.6406
0.9218 0.9827 0.3579
0.1421 0.6863 0.4651
0.7082 0.0636 0.4879
0.8237 0.4838 0.2756
0.2885 0.5643 0.0096
0.0041 0.0971 0.0568
0.5492 0.8576 0.3977
0.4522 0.3620 0.1000
0.0289 0.5704 0.4925
0.8691 0.1982 0.0382
0.6493 0.4734 0.3020
0.3234 0.0210 0.7246
0.4927 0.8978 0.5566
0.7596 0.3940 0.4104
0.7629 0.6721 0.7484
0.8483 0.5264 0.7970
0.0685 0.6630 0.6291
0.7401 0.6081 0.9065
0.2599 0.1118 0.5904
0.5261 0.2397 0.0030
0.4812 0.7342 0.4991
0.3688 0.3050 0.9584
0.1746 0.9824 0.2250
0.7904 0.9371 0.9879
0.3502 0.9698 0.2031
0.0292 0.2570 0.9922
0.7388 0.3317 0.2516
0.2550 0.8294 0.2485
0.9508 0.1370 0.8968
0.1487 0.0306 0.6976
0.5079 0.4016 0.9403
0.6739 0.5220 0.7707
0.2377 0.1719 0.7495
0.2417 0.8940 0.0904
0.6361 0.8071 0.5409
0.4653 0.3280 0.0018
0.5384 0.8249 0.4967
0.9646 0.1717 0.9945
0.2553 0.9192 0.1903
0.7560 0.5820 0.8073
0.2428 0.0833 0.6890
0.7432 0.4209 0.3113
0.6081 0.2388 0.6347
0.3445 0.5281 0.3238
0.1046 0.2582 0.3595
0.8901 0.7620 0.1362
0.8452 0.9747 0.6706
0.3900 0.7374 0.8619
0.6556 0.0277 0.1733
0.1564 0.4709 0.8235
```